1.
The following is a DFT calculation (PBE-GGA) of a geometry-optimized Mg2Ni structure.

Structure (POSCAR):
```
Mg2Ni
1.0
6.057 0.000 0.000
-0.011 6.075 0.000
-3.016 -2.952 6.147
Mg Ni
8 4
Direct
0.000 0.000 0.000
0.000 0.500 0.000
0.238 0.222 0.493
0.255 0.722 0.493
0.492 0.493 0.989
0.497 0.993 0.988
0.737 0.249 0.494
0.757 0.749 0.494
0.118 0.120 0.747
0.376 0.867 0.245
0.629 0.620 0.747
0.869 0.368 0.245
```

## Properties
Energy relative to the elements ... 52 meV per atom
Calculated density ... 3.2 g/cm³
Crystal system ... triclinic
Total magnetization ... 0.045 μB per cell

=====

2.
The following is a DFT calculation (PBE-GGA) of a geometry-optimized MgNi5 structure.

Structure (POSCAR):
```
MgNi5
1.0
2.206 1.274 4.131
-2.206 1.274 4.131
0.000 -2.548 4.131
Mg Ni
1 5
Direct
0.000 0.000 0.000
0.177 0.823 0.500
0.330 0.330 0.330
0.500 0.177 0.823
0.670 0.670 0.670
0.823 0.500 0.177
```

## Properties
Energy relative to the elements ... -16 meV per atom
Calculated density ... 7.6 g/cm³
Crystal system ... trigonal
Total magnetization ... 1.900 μB per cell

=====

3.
The following is a DFT calculation (PBE-GGA) of a geometry-optimized MgNi2 structure.

Structure (POSCAR):
```
MgNi2
1.0
0.000 3.405 3.405
3.405 0.000 3.405
3.405 3.405 0.000
Mg Ni
2 4
Direct
0.125 0.125 0.125
0.875 0.875 0.875
0.000 0.500 0.500
0.500 0.000 0.500
0.500 0.500 0.000
0.500 0.500 0.500
```

## Properties
Energy relative to the elements ... -218 meV per atom
Calculated density ... 6.0 g/cm³
Crystal system ... cubic

=====

4.
The following is a DFT calculation (PBE-GGA) of a geometry-optimized MgNi3 structure.

Structure (POSCAR):
```
MgNi3
1.0
5.204 0.000 0.000
-2.602 4.507 0.000
0.000 0.000 4.162
Mg Ni
2 6
Direct
0.333 0.667 0.250
0.667 0.333 0.750
0.160 0.319 0.750
0.160 0.840 0.750
0.319 0.160 0.250
0.681 0.840 0.750
0.840 0.160 0.250
0.840 0.681 0.250
```

## Properties
Energy relative to the elements ... -71 meV per atom
Calculated density ... 6.8 g/cm³
Crystal system ... hexagonal
Total magnetization ... 2.248 μB per cell

=====

5.
The following is a DFT calculation (PBE-GGA) of a geometry-optimized Mg7Ni structure.

Structure (POSCAR):
```
Mg7Ni
1.0
6.160 0.000 0.000
-3.080 5.335 0.000
0.000 0.000 4.911
Mg Ni
7 1
Direct
0.000 0.000 0.000
0.015 0.508 0.000
0.333 0.166 0.500
0.492 0.508 0.000
0.492 0.985 0.000
0.834 0.166 0.500
0.834 0.667 0.500
0.333 0.667 0.500
```

## Properties
Energy relative to the elements ... 28 meV per atom
Calculated density ... 2.4 g/cm³
Crystal system ... hexagonal

=====

6.
The following is a DFT calculation (PBE-GGA) of a geometry-optimized MgNi structure.

Structure (POSCAR):
```
MgNi
1.0
3.046 0.000 0.000
0.000 3.046 0.000
0.000 0.000 3.046
Mg Ni
1 1
Direct
0.000 0.000 0.000
0.500 0.500 0.500
```

## Properties
Energy relative to the elements ... -153 meV per atom
Calculated density ... 4.9 g/cm³
Crystal system ... cubic

=====

7.
The following is a DFT calculation (PBE-GGA) of a geometry-optimized Mg2Ni structure.

Structure (POSCAR):
```
Mg2Ni
1.0
5.195 0.000 0.000
-2.597 4.499 0.000
0.000 0.000 13.141
Mg Ni
12 6
Direct
0.000 0.500 0.051
0.000 0.500 0.282
0.165 0.330 0.500
0.165 0.835 0.833
0.330 0.165 0.167
0.500 0.000 0.384
0.500 0.000 0.616
0.500 0.500 0.718
0.500 0.500 0.949
0.670 0.835 0.167
0.835 0.165 0.833
0.835 0.670 0.500
0.000 0.000 0.000
0.000 0.000 0.333
0.000 0.000 0.667
0.000 0.500 0.667
0.500 0.000 0.000
0.500 0.500 0.333
```

## Properties
Energy relative to the elements ... -173 meV per atom
Calculated density ... 3.5 g/cm³
Crystal system ... hexagonal

=====

8.
The following is a DFT calculation (PBE-GGA) of a geometry-optimized MgNi2 structure.

Structure (POSCAR):
```
MgNi2
1.0
4.793 0.000 0.000
-2.396 4.151 0.000
0.000 0.000 15.685
Mg Ni
8 16
Direct
0.000 0.000 0.094
0.000 0.000 0.406
0.000 0.000 0.594
0.000 0.000 0.906
0.333 0.667 0.156
0.333 0.667 0.344
0.667 0.333 0.656
0.667 0.333 0.844
0.000 0.500 0.000
0.000 0.500 0.500
0.165 0.329 0.750
0.165 0.835 0.750
0.329 0.165 0.250
0.333 0.667 0.625
0.333 0.667 0.875
0.500 0.000 0.000
0.500 0.000 0.500
0.500 0.500 0.000
0.500 0.500 0.500
0.667 0.333 0.125
0.667 0.333 0.375
0.671 0.835 0.750
0.835 0.165 0.250
0.835 0.671 0.250
```

## Properties
Energy relative to the elements ... -221 meV per atom
Calculated density ... 6.0 g/cm³
Crystal system ... hexagonal